(1)
W3O8 PBE with a Hubbard U optimized geometry; final energy = -7.20 eV per atom; E above lowest polymorph = 363 meV per atom; energy with MP2020 corrections = -98.00 eV per formula unit; ΔE_f = -1.7762 eV/atom
1.0
3.1127 -5.3914 0.0000
3.1127 5.3914 0.0000
0.0000 0.0000 10.0036
O W
16 6
direct
0.1466 0.8534 0.6531
0.0402 0.5201 0.3504
0.4799 0.9598 0.3504
0.0000 0.0000 0.3583
0.3333 0.6667 0.1392
0.9598 0.4799 0.8504
0.0000 0.0000 0.8583
0.4799 0.5201 0.3504
0.5201 0.0402 0.8504
0.2933 0.1466 0.1531
0.1466 0.2933 0.6531
0.6667 0.3333 0.6392
0.7067 0.8534 0.6531
0.8534 0.7067 0.1531
0.8534 0.1466 0.1531
0.5201 0.4799 0.8504
0.3360 0.1680 0.7490
0.6640 0.8320 0.2490
0.8320 0.6640 0.7490
0.8320 0.1680 0.7490
0.1680 0.3360 0.2490
0.1680 0.8320 0.2490



(2)
MgMn2Co2O8 PBE with a Hubbard U optimized geometry; final energy = -6.53 eV per atom; E above lowest polymorph = 0 meV per atom; energy with MP2020 corrections = -96.96 eV per formula unit; ΔE_f = -1.7870 eV/atom
1.0
3.3251 -4.7319 0.3772
0.0975 -3.8368 -4.3446
1.4248 4.2029 -3.7275
Co O Mn Mg
2 8 2 1
direct
0.4964 0.0442 0.9593
0.0034 0.5372 0.9592
0.5290 0.7753 0.7536
0.0291 0.7462 0.7249
0.4671 0.3041 0.1631
0.9710 0.7753 0.1955
0.9742 0.3265 0.1993
0.5258 0.7751 0.1992
0.0329 0.3043 0.7289
0.4712 0.3041 0.7248
0.0048 0.5359 0.4688
0.4954 0.5361 0.9593
0.2496 0.9105 0.3391



(3)
BaMoO3 PBE with a Hubbard U optimized geometry; final energy = -6.99 eV per atom; energy with MP2020 corrections = -40.19 eV per formula unit; ΔE_f = -2.5168 eV/atom
1.0
4.1491 0.0000 0.0000
0.0000 4.1491 0.0000
0.0000 0.0000 4.1491
O Ba Mo
3 1 1
direct
0.0000 0.0000 0.5000
0.0000 0.5000 0.0000
0.5000 0.0000 0.0000
0.5000 0.5000 0.5000
0.0000 0.0000 0.0000



(4)
Li9Mn2Co5O16 PBE with a Hubbard U optimized geometry; final energy = -5.83 eV per atom; E above lowest polymorph = 25 meV per atom; energy with MP2020 corrections = -209.08 eV per formula unit; ΔE_f = -1.8395 eV/atom
1.0
-3.0571 4.9777 -2.8861
-4.2758 -4.8178 0.7222
0.3142 0.4652 7.8200
Li Co O Mn
9 5 16 2
direct
0.1303 0.9365 0.6871
0.8697 0.5635 0.8129
0.6157 0.1792 0.9264
0.6218 0.6873 0.4360
0.8708 0.0597 0.3137
0.3843 0.3208 0.5736
0.3782 0.8127 0.0640
0.1292 0.4403 0.1863
0.5000 0.7500 0.7500
0.2596 0.8725 0.3833
0.7404 0.6275 0.1167
0.5000 0.2500 0.2500
0.7496 0.1260 0.6248
0.2504 0.3740 0.8752
0.7027 0.3991 0.5339
0.9451 0.7671 0.4119
0.9567 0.2734 0.9114
0.4505 0.0353 0.6391
0.1747 0.6270 0.7629
0.0433 0.2266 0.5886
0.5495 0.4647 0.8609
0.2850 0.5930 0.4595
0.4453 0.5172 0.1629
0.8100 0.3634 0.2405
0.2973 0.1009 0.9661
0.5547 0.9828 0.3371
0.1900 0.1366 0.2595
0.7150 0.9070 0.0405
0.0549 0.7329 0.0881
0.8253 0.8730 0.7371
0.0000 0.5008 0.5049
0.0000 0.9992 0.9951



(5)
MgV4O7F5 PBE with a Hubbard U optimized geometry; final energy = -6.68 eV per atom; E above lowest polymorph = 61 meV per atom; energy with MP2020 corrections = -127.40 eV per formula unit; ΔE_f = -2.6621 eV/atom
1.0
-5.2639 -0.0464 0.0274
0.0761 5.8861 -4.0751
-0.0050 -3.4442 -4.4567
O F V Mg
7 5 4 1
direct
0.0619 0.7437 0.0362
0.5658 0.2424 0.5049
0.7233 0.9514 0.2413
0.3789 0.7638 0.5010
0.1958 0.4613 0.7111
0.9073 0.2505 0.9979
0.3158 0.0423 0.8138
0.7934 0.5548 0.3332
0.8328 0.9264 0.6771
0.6903 0.5548 0.7963
0.2865 0.4518 0.2187
0.2019 0.0437 0.3046
0.9863 0.4879 0.9942
0.5299 0.0014 0.4726
0.0529 0.0050 0.9687
0.4506 0.4959 0.5320
0.0143 0.7818 0.3963



(6)
Mg6CrFeO8 PBE with a Hubbard U optimized geometry; final energy = -6.21 eV per atom; E above lowest polymorph = 10 meV per atom; energy with MP2020 corrections = -109.08 eV per formula unit; ΔE_f = -2.6108 eV/atom
1.0
8.5502 0.0000 0.0000
0.0000 4.3088 0.0000
0.0000 0.0000 4.3088
Mg O Fe Cr
6 8 1 1
direct
0.7493 0.5000 0.0000
0.5000 0.5000 0.5000
0.7493 0.0000 0.5000
0.2507 0.0000 0.5000
0.5000 0.0000 0.0000
0.2507 0.5000 0.0000
0.7526 0.5000 0.5000
0.0000 0.5000 0.0000
0.0000 0.0000 0.5000
0.2474 0.5000 0.5000
0.5000 0.0000 0.5000
0.7403 0.0000 0.0000
0.5000 0.5000 0.0000
0.2597 0.0000 0.0000
0.0000 0.0000 0.0000
0.0000 0.5000 0.5000



(7)
Li2Ni3SbO8 PBE with a Hubbard U optimized geometry; final energy = -5.24 eV per atom; E above lowest polymorph = 12 meV per atom; energy with MP2020 corrections = -86.45 eV per formula unit; ΔE_f = -1.5414 eV/atom
1.0
2.9354 -5.0861 -0.0015
9.0668 5.2367 0.1250
-2.9291 1.7004 4.7835
O Ni Li Sb
16 6 4 2
direct
0.6182 0.3782 0.7180
0.3815 0.6218 0.2818
0.1595 0.8780 0.7587
0.9003 0.6220 0.2398
0.3643 0.0934 0.7292
0.8799 0.1215 0.7221
0.6597 0.3785 0.2787
0.3405 0.6216 0.7212
0.6000 0.8783 0.7193
0.6358 0.9065 0.2708
0.4002 0.1217 0.2807
0.1353 0.4068 0.2712
0.1200 0.8786 0.2778
0.8405 0.1219 0.2413
0.0996 0.3782 0.7605
0.8646 0.5932 0.7289
0.5000 0.9999 0.9999
0.5000 0.0000 0.5000
0.9998 0.5000 0.0000
0.0001 0.0000 0.5000
0.5000 0.5000 0.4998
0.0001 0.5001 0.5002
0.9363 0.8082 0.8715
0.4365 0.3095 0.8731
0.0638 0.1918 0.1286
0.5634 0.6904 0.1270
0.7501 0.2498 0.5003
0.2499 0.7502 0.4996



(8)
BaV2Co2O8 PBE with a Hubbard U optimized geometry; final energy = -7.04 eV per atom; energy with MP2020 corrections = -103.67 eV per formula unit; ΔE_f = -2.2907 eV/atom
1.0
0.5972 -8.8913 4.3415
6.0288 7.8180 0.8910
-8.2319 3.5495 4.2306
O Co V Ba
32 8 8 4
direct
0.3983 0.5634 0.4808
0.6674 0.6866 0.3349
0.9742 0.3091 0.3411
0.2819 0.1169 0.8411
0.9366 0.1017 0.5192
0.4681 0.8091 0.3349
0.3831 0.2181 0.1589
0.3134 0.6483 0.9808
0.7758 0.6169 0.8349
0.6676 0.3326 0.0192
0.8669 0.5319 0.3411
0.8517 0.1866 0.0192
0.9681 0.6331 0.6589
0.8983 0.4176 0.8349
0.3517 0.3324 0.6651
0.0591 0.2242 0.8411
0.7819 0.9409 0.1651
0.2758 0.4409 0.1589
0.4366 0.9174 0.8349
0.0826 0.9176 0.5192
0.6909 0.0319 0.6651
0.5824 0.4174 0.4808
0.1676 0.1483 0.3349
0.8831 0.7242 0.1651
0.5591 0.7181 0.8349
0.8134 0.8326 0.6651
0.1909 0.5258 0.6589
0.3669 0.0258 0.3349
0.4742 0.1331 0.6651
0.5826 0.0634 0.1651
0.0824 0.6017 0.1651
0.1674 0.8324 0.9808
0.6685 0.1685 0.8370
0.4185 0.0815 0.0000
0.1685 0.3315 0.5000
0.3315 0.8315 0.1630
0.0815 0.4185 0.0000
0.8315 0.6685 0.5000
0.9185 0.9185 0.3370
0.5815 0.5815 0.6630
0.3750 0.2043 0.3293
0.7957 0.1250 0.1707
0.4543 0.6250 0.3293
0.8750 0.5457 0.1707
0.9543 0.6250 0.8293
0.8750 0.0457 0.6707
0.2957 0.1250 0.6707
0.3750 0.7043 0.8293
0.7500 0.2500 0.5000
0.0000 0.0000 0.0000
0.5000 0.5000 0.0000
0.2500 0.7500 0.5000